(1)
An optimized crystal structure of Ca10TaTi8AlSi10O50, computed with PBE-GGA.

Output
Energy relative to the lowest polymorph listed for this composition, eV/atom: 0.279
Formation energy from the elements, eV per atom: -3.19
Energy with MP2020 corrections, eV per cell: -655.66
Calculated volume, Å³/atom: 12.266

The structure in CIF format:
```
data_Ca10TaTi8AlSi10O50
_cell_length_a 6.677
_cell_length_b 7.200
_cell_length_c 22.420
_cell_angle_alpha 87.62
_cell_angle_beta 81.74
_cell_angle_gamma 66.94
_space_group_name_H-M_alt 'P 1'
_space_group_IT_number 1
loop_
_space_group_symop_operation_xyz
'x,y,z'
loop_
_atom_site_label
_atom_site_type_symbol
_atom_site_fract_x
_atom_site_fract_y
_atom_site_fract_z
_atom_site_occupancy
Ca1 Ca 0.000 0.000 0.000 1
Ca2 Ca 0.040 0.623 0.168 1
Ca3 Ca 0.254 0.655 0.751 1
Ca4 Ca 0.307 0.103 0.620 1
Ca5 Ca 0.426 0.606 0.361 1
Ca6 Ca 0.494 0.135 0.225 1
Ca7 Ca 0.595 0.668 0.949 1
Ca8 Ca 0.718 0.042 0.824 1
Ca9 Ca 0.818 0.591 0.558 1
Ca10 Ca 0.896 0.122 0.424 1
Ta1 Ta 0.141 0.310 0.892 1
Ti1 Ti 0.359 0.361 0.491 1
Ti2 Ti 0.361 0.859 0.489 1
Ti3 Ti 0.580 0.371 0.087 1
Ti4 Ti 0.598 0.822 0.102 1
Ti5 Ti 0.776 0.850 0.684 1
Ti6 Ti 0.795 0.336 0.693 1
Ti7 Ti 0.959 0.862 0.298 1
Ti8 Ti 0.961 0.364 0.295 1
Al1 Al 0.258 0.179 0.082 1
Si1 Si 0.024 0.105 0.168 1
Si2 Si 0.101 0.580 0.018 1
Si3 Si 0.230 0.090 0.761 1
Si4 Si 0.282 0.625 0.614 1
Si5 Si 0.427 0.114 0.364 1
Si6 Si 0.503 0.603 0.223 1
Si7 Si 0.549 0.129 0.965 1
Si8 Si 0.717 0.627 0.810 1
Si9 Si 0.828 0.112 0.562 1
Si10 Si 0.895 0.614 0.420 1
O1 O 0.012 0.751 0.378 1
O2 O 0.016 0.454 0.974 1
O3 O 0.033 0.967 0.513 1
O4 O 0.059 0.454 0.464 1
O5 O 0.076 0.246 0.713 1
O6 O 0.083 0.094 0.909 1
O7 O 0.092 0.800 0.660 1
O8 O 0.093 0.966 0.794 1
O9 O 0.099 0.252 0.207 1
O10 O 0.206 0.503 0.568 1
O11 O 0.232 0.436 0.073 1
O12 O 0.245 0.682 0.978 1
O13 O 0.252 0.950 0.126 1
O14 O 0.266 0.271 0.318 1
O15 O 0.289 0.233 0.807 1
O16 O 0.294 0.763 0.267 1
O17 O 0.311 0.976 0.404 1
O18 O 0.313 0.409 0.675 1
O19 O 0.349 0.076 0.008 1
O20 O 0.349 0.120 0.517 1
O21 O 0.376 0.617 0.462 1
O22 O 0.411 0.754 0.572 1
O23 O 0.434 0.472 0.177 1
O24 O 0.446 0.260 0.907 1
O25 O 0.448 0.940 0.716 1
O26 O 0.491 0.493 0.656 1
O27 O 0.505 0.249 0.406 1
O28 O 0.525 0.115 0.111 1
O29 O 0.532 0.800 0.853 1
O30 O 0.566 0.627 0.059 1
O31 O 0.635 0.487 0.772 1
O32 O 0.635 0.965 0.316 1
O33 O 0.641 0.725 0.181 1
O34 O 0.647 0.261 0.002 1
O35 O 0.659 0.444 0.269 1
O36 O 0.661 0.276 0.519 1
O37 O 0.690 0.768 0.467 1
O38 O 0.711 0.975 0.603 1
O39 O 0.733 0.124 0.718 1
O40 O 0.746 0.919 0.943 1
O41 O 0.796 0.609 0.660 1
O42 O 0.817 0.480 0.377 1
O43 O 0.865 0.730 0.766 1
O44 O 0.876 0.484 0.860 1
O45 O 0.891 0.982 0.205 1
O46 O 0.905 0.756 0.064 1
O47 O 0.909 0.242 0.606 1
O48 O 0.927 0.242 0.107 1
O49 O 0.956 0.111 0.319 1
O50 O 0.974 0.613 0.268 1
```

(2)
An optimized crystal structure of Ca10TaTi8AlSi10O50, computed with PBE-GGA.

Output
Energy relative to the lowest polymorph listed for this composition, eV/atom: 0.000
Formation energy from the elements, eV per atom: -3.47
Energy with MP2020 corrections, eV per cell: -677.95
Calculated volume, Å³/atom: 11.913

The structure in CIF format:
```
data_Ca10TaTi8AlSi10O50
_cell_length_a 6.684
_cell_length_b 7.132
_cell_length_c 22.164
_cell_angle_alpha 86.49
_cell_angle_beta 81.42
_cell_angle_gamma 65.82
_space_group_name_H-M_alt 'P -1'
_space_group_IT_number 2
loop_
_space_group_symop_operation_xyz
'x,y,z'
'-x,-y,-z'
loop_
_atom_site_label
_atom_site_type_symbol
_atom_site_fract_x
_atom_site_fract_y
_atom_site_fract_z
_atom_site_occupancy
Ca1 Ca 0.021 0.259 0.431 1
Ca2 Ca 0.166 0.750 0.169 1
Ca3 Ca 0.234 0.250 0.031 1
Ca4 Ca 0.366 0.751 0.769 1
Ca5 Ca 0.435 0.259 0.631 1
Ta1 Ta 0.500 0.000 0.500 1
Ti1 Ti 0.100 0.000 0.300 1
Ti2 Ti 0.100 0.500 0.300 1
Ti3 Ti 0.300 0.000 0.900 1
Ti4 Ti 0.300 0.500 0.900 1
Al1 Al 0.500 0.500 0.500 1
Si1 Si 0.045 0.743 0.429 1
Si2 Si 0.164 0.250 0.172 1
Si3 Si 0.236 0.750 0.028 1
Si4 Si 0.364 0.250 0.772 1
Si5 Si 0.435 0.746 0.628 1
O1 O 0.001 0.406 0.125 1
O2 O 0.026 0.906 0.075 1
O3 O 0.040 0.385 0.614 1
O4 O 0.046 0.114 0.214 1
O5 O 0.086 0.251 0.327 1
O6 O 0.114 0.750 0.273 1
O7 O 0.154 0.886 0.386 1
O8 O 0.160 0.614 0.986 1
O9 O 0.170 0.096 0.525 1
O10 O 0.201 0.407 0.725 1
O11 O 0.205 0.592 0.476 1
O12 O 0.227 0.904 0.675 1
O13 O 0.240 0.386 0.214 1
O14 O 0.246 0.114 0.814 1
O15 O 0.286 0.250 0.927 1
O16 O 0.314 0.750 0.873 1
O17 O 0.354 0.886 0.986 1
O18 O 0.362 0.613 0.584 1
O19 O 0.374 0.094 0.125 1
O20 O 0.399 0.594 0.075 1
O21 O 0.401 0.407 0.325 1
O22 O 0.426 0.905 0.275 1
O23 O 0.440 0.386 0.814 1
O24 O 0.447 0.114 0.414 1
O25 O 0.487 0.255 0.527 1
```

(3)
An optimized crystal structure of Ca4UAl2Si3O15, computed with PBE-GGA.

Output
Formation energy from the elements, eV per atom: -3.30
Energy with MP2020 corrections, eV per cell: -599.04
Calculated volume, Å³/atom: 9.819

The structure in CIF format:
```
data_Ca4UAl2Si3O15
_cell_length_a 5.1879
_cell_length_b 5.1879
_cell_length_c 31.5940
_cell_angle_alpha 90.00
_cell_angle_beta 90.00
_cell_angle_gamma 120.00
_space_group_name_H-M_alt 'R -3 m'
_space_group_IT_number 166
_space_group_name_Hall '-R 3 2"'
loop_
_atom_site_label
_atom_site_type_symbol
_atom_site_fract_x
_atom_site_fract_y
_atom_site_fract_z
_atom_site_occupancy
Ca1 Ca 0.0000 0.0000 0.0994 1
Ca2 Ca 0.0000 0.0000 0.3004 1
U1 U 0.0000 0.0000 0.5000 1
Al1 Al 0.0000 0.0000 0.2012 1
Si1 Si 0.0000 0.0000 0.0000 1
Si2 Si 0.0000 0.0000 0.3989 1
O1 O 0.0000 0.5000 0.5000 1
O2 O 0.0009 0.5004 0.6995 1
O3 O 0.0165 0.5082 0.0995 1
```

(4)
An optimized crystal structure of CaSmAlO4, computed with PBE-GGA.

Output
Formation energy from the elements, eV per atom: -3.58
Energy with MP2020 corrections, eV per cell: -110.61
Calculated volume, Å³/atom: 11.812

The structure in CIF format:
```
data_CaSmAlO4
_cell_length_a 3.699
_cell_length_b 3.699
_cell_length_c 12.085
_cell_angle_alpha 90.00
_cell_angle_beta 90.00
_cell_angle_gamma 90.00
_space_group_name_H-M_alt 'I 4 m m'
_space_group_IT_number 107
_space_group_name_Hall 'I 4 -2'
loop_
_atom_site_label
_atom_site_type_symbol
_atom_site_fract_x
_atom_site_fract_y
_atom_site_fract_z
_atom_site_occupancy
Ca1 Ca 0.000 0.000 0.000 1
Sm1 Sm 0.000 0.000 0.715 1
Al1 Al 0.000 0.000 0.364 1
O1 O 0.000 0.000 0.189 1
O2 O 0.000 0.000 0.524 1
O3 O 0.000 0.500 0.353 1
```

(5)
An optimized crystal structure of Ca2Al2Sn2O9, computed with PBE-GGA.

Output
Formation energy from the elements, eV per atom: -2.96
Energy with MP2020 corrections, eV per cell: -433.53
Calculated volume, Å³/atom: 12.724

The structure in CIF format:
```
data_Ca2Al2Sn2O9
_cell_length_a 9.100
_cell_length_b 5.562
_cell_length_c 15.086
_cell_angle_alpha 90.00
_cell_angle_beta 90.00
_cell_angle_gamma 90.00
_space_group_name_H-M_alt 'P b c n'
_space_group_IT_number 60
loop_
_space_group_symop_operation_xyz
'x,y,z'
'-x,-y,-z'
'-x+1/2,-y+1/2,z+1/2'
'x+1/2,y+1/2,-z+1/2'
'x+1/2,-y+1/2,-z'
'-x+1/2,y+1/2,z'
'-x,y,-z+1/2'
'x,-y,z+1/2'
loop_
_atom_site_label
_atom_site_type_symbol
_atom_site_fract_x
_atom_site_fract_y
_atom_site_fract_z
_atom_site_occupancy
Ca1 Ca 0.067 0.138 0.146 1
Al1 Al 0.157 0.310 0.528 1
Sn1 Sn 0.155 0.366 0.834 1
O1 O 0.000 0.471 0.250 1
O2 O 0.014 0.228 0.926 1
O3 O 0.161 0.308 0.410 1
O4 O 0.167 0.035 0.772 1
O5 O 0.228 0.420 0.072 1
```

(6)
An optimized crystal structure of CaTaAlO5, computed with PBE-GGA.

Output
Formation energy from the elements, eV per atom: -3.49
Energy with MP2020 corrections, eV per cell: -280.92
Calculated volume, Å³/atom: 13.016

The structure in CIF format:
```
data_CaTaAlO5
_cell_length_a 6.821
_cell_length_b 9.010
_cell_length_c 7.464
_cell_angle_alpha 90.00
_cell_angle_beta 114.76
_cell_angle_gamma 90.00
_space_group_name_H-M_alt 'C 1 2/c 1'
_space_group_IT_number 15
loop_
_space_group_symop_operation_xyz
'x,y,z'
'-x,-y,-z'
'-x,y,-z+1/2'
'x,-y,z+1/2'
'x+1/2,y+1/2,z'
'-x+1/2,-y+1/2,-z'
'-x+1/2,y+1/2,-z+1/2'
'x+1/2,-y+1/2,z+1/2'
loop_
_atom_site_label
_atom_site_type_symbol
_atom_site_fract_x
_atom_site_fract_y
_atom_site_fract_z
_atom_site_occupancy
Ca1 Ca 0.000 0.169 0.250 1
Ta1 Ta 0.000 0.500 0.000 1
Al1 Al 0.000 0.183 0.750 1
O1 O 0.000 0.427 0.250 1
O2 O 0.101 0.295 0.611 1
O3 O 0.192 0.057 0.910 1
```

(7)
An optimized crystal structure of CaTaAlO5, computed with PBE-GGA.

Output
Formation energy from the elements, eV per atom: -3.48
Energy with MP2020 corrections, eV per cell: -280.89
Calculated volume, Å³/atom: 12.968

The structure in CIF format:
```
data_CaTaAlO5
_cell_length_a 6.788
_cell_length_b 9.014
_cell_length_c 7.460
_cell_angle_alpha 90.00
_cell_angle_beta 114.60
_cell_angle_gamma 90.00
_space_group_name_H-M_alt 'C 1 c 1'
_space_group_IT_number 9
loop_
_space_group_symop_operation_xyz
'x,y,z'
'x,-y,z+1/2'
'x+1/2,y+1/2,z'
'x+1/2,-y+1/2,z+1/2'
loop_
_atom_site_label
_atom_site_type_symbol
_atom_site_fract_x
_atom_site_fract_y
_atom_site_fract_z
_atom_site_occupancy
Ca1 Ca 0.000 0.167 0.000 1
Ta1 Ta 0.002 0.498 0.730 1
Al1 Al 0.001 0.185 0.480 1
O1 O 0.003 0.426 0.981 1
O2 O 0.105 0.296 0.344 1
O3 O 0.195 0.060 0.642 1
O4 O 0.311 0.441 0.817 1
O5 O 0.394 0.202 0.114 1
```

(8)
An optimized crystal structure of CaTaAlO5, computed with PBE-GGA.

Output
Formation energy from the elements, eV per atom: -3.48
Energy with MP2020 corrections, eV per cell: -280.86
Calculated volume, Å³/atom: 12.898

The structure in CIF format:
```
data_CaTaAlO5
_cell_length_a 6.722
_cell_length_b 9.036
_cell_length_c 7.727
_cell_angle_alpha 90.00
_cell_angle_beta 118.43
_cell_angle_gamma 90.00
_space_group_name_H-M_alt 'P 1 21/c 1'
_space_group_IT_number 14
loop_
_space_group_symop_operation_xyz
'x,y,z'
'-x,-y,-z'
'-x,y+1/2,-z+1/2'
'x,-y+1/2,z+1/2'
loop_
_atom_site_label
_atom_site_type_symbol
_atom_site_fract_x
_atom_site_fract_y
_atom_site_fract_z
_atom_site_occupancy
Ca1 Ca 0.206 0.164 0.211 1
Ta1 Ta 0.000 0.000 0.500 1
Ta2 Ta 0.500 0.000 0.000 1
Al1 Al 0.260 0.685 0.751 1
O1 O 0.015 0.703 0.115 1
O2 O 0.213 0.558 0.901 1
O3 O 0.256 0.076 0.747 1
O4 O 0.264 0.564 0.571 1
O5 O 0.497 0.698 0.380 1
```

What did the fourth record say?
An optimized crystal structure of CaSmAlO4, computed with PBE-GGA.

Output
Formation energy from the elements, eV per atom: -3.58
Energy with MP2020 corrections, eV per cell: -110.61
Calculated volume, Å³/atom: 11.812

The structure in CIF format:
```
data_CaSmAlO4
_cell_length_a 3.699
_cell_length_b 3.699
_cell_length_c 12.085
_cell_angle_alpha 90.00
_cell_angle_beta 90.00
_cell_angle_gamma 90.00
_space_group_name_H-M_alt 'I 4 m m'
_space_group_IT_number 107
_space_group_name_Hall 'I 4 -2'
loop_
_atom_site_label
_atom_site_type_symbol
_atom_site_fract_x
_atom_site_fract_y
_atom_site_fract_z
_atom_site_occupancy
Ca1 Ca 0.000 0.000 0.000 1
Sm1 Sm 0.000 0.000 0.715 1
Al1 Al 0.000 0.000 0.364 1
O1 O 0.000 0.000 0.189 1
O2 O 0.000 0.000 0.524 1
O3 O 0.000 0.500 0.353 1
```